Record 1
Below is a relaxed Na2Co3O4 crystal, with properties calculated at the PBE+U level.

Output
The total energy is -191.79 eV per cell. The formation energy comes out at -1.317 eV per atom. The volume is 453.50 Å³ per cell.

abc: 5.3450 7.7708 10.9185
angles: 90.00 90.00 90.00
With the nearest neighbours (Å) after each atom.
Fractional coordinates of all 36 atoms:
O (0.4230, 0.7500, 0.6526)  3 Co 1.99-2.12
O (0.6435, 0.4723, 0.1342)  3 Co 1.98-2.06
O (0.5770, 0.2500, 0.3474)  3 Co 1.99-2.12
O (0.8565, 0.0277, 0.6342)  3 Co 1.98-2.06
O (0.3565, 0.5277, 0.8658)  3 Co 1.98-2.06
Na (0.4830, 0.2500, 0.9726)  6 O 2.54-2.72
Co (0.3516, 0.4157, 0.2393)  4 O 1.98-2.12
O (0.6435, 0.0277, 0.1342)  3 Co 1.98-2.06
O (0.6469, 0.7500, 0.3585)  3 Co 1.96-2.00
Co (0.1484, 0.0843, 0.7393)  4 O 1.98-2.12
O (0.1469, 0.2500, 0.1415)  3 Co 1.96-2.00
Co (0.6484, 0.5843, 0.7607)  4 O 1.98-2.12
Co (0.8516, 0.5843, 0.2607)  4 O 1.98-2.12
Na (0.5000, 0.0000, 0.5000)  6 O 2.41-2.60
O (0.9230, 0.2500, 0.8474)  3 Co 1.99-2.12
Na (0.0000, 0.5000, 0.0000)  6 O 2.41-2.60
Co (0.1484, 0.4157, 0.7393)  4 O 1.98-2.12
O (0.3565, 0.9723, 0.8658)  3 Co 1.98-2.06
O (0.8531, 0.7500, 0.8585)  3 Co 1.96-2.00
Na (0.0170, 0.2500, 0.4726)  6 O 2.54-2.72
O (0.0770, 0.7500, 0.1526)  3 Co 1.99-2.12
Co (0.6983, 0.2500, 0.7016)  4 O 1.96-2.06
O (0.3531, 0.2500, 0.6415)  3 Co 1.96-2.00
Co (0.3516, 0.0843, 0.2393)  4 O 1.98-2.12
Co (0.3017, 0.7500, 0.2984)  4 O 1.96-2.06
Co (0.1983, 0.7500, 0.7984)  4 O 1.96-2.06
Na (0.5170, 0.7500, 0.0274)  6 O 2.54-2.72
Co (0.8516, 0.9157, 0.2607)  4 O 1.98-2.12
Co (0.8017, 0.2500, 0.2016)  4 O 1.96-2.06
Co (0.6484, 0.9157, 0.7607)  4 O 1.98-2.12
Na (0.0000, 0.0000, 0.0000)  6 O 2.41-2.60
O (0.8565, 0.4723, 0.6342)  3 Co 1.98-2.06
O (0.1435, 0.9723, 0.3658)  3 Co 1.98-2.06
Na (0.9830, 0.7500, 0.5274)  6 O 2.54-2.72
O (0.1435, 0.5277, 0.3658)  3 Co 1.98-2.06
Na (0.5000, 0.5000, 0.5000)  6 O 2.41-2.60


Record 2
Below is a relaxed LiV4P3O12 crystal, with properties calculated at the PBE+U level.

Output
The total energy is -299.40 eV per cell. The formation energy comes out at -2.544 eV per atom. The offset from the most stable computed form is 0.000 eV/atom. The volume is 446.64 Å³ per cell.

abc: 10.7274 10.7274 10.7274
angles: 142.88 142.88 53.50
With the nearest neighbours (Å) after each atom.
Fractional coordinates of all 40 atoms:
O (0.2090, 0.9092, 0.8285)  1 P 1.55
O (0.9105, 0.1463, 0.1416)  1 P 1.56
O (0.6592, 0.4590, 0.3285)  1 P 1.55
P (0.0000, 0.0000, 0.0000)  4 O 1.56
P (0.3750, 0.7724, 0.8974)  4 O 1.55-1.59
O (0.8963, 0.1605, 0.6416)  1 P 1.56
O (0.4731, 0.6939, 0.7886)  1 P 1.59
V (0.2271, 0.2271, 0.0000)  6 O 2.18-2.29
P (0.7500, 0.2500, 0.5000)  4 O 1.56
O (0.2769, 0.5655, 0.7208)  1 P 1.59
V (0.7729, 0.7729, 0.0000)  6 O 2.18-2.29
O (0.8537, 0.9953, 0.7642)  1 P 1.56
O (0.0047, 0.7689, 0.8584)  1 P 1.56
O (0.0807, 0.3805, 0.1715)  1 P 1.55
P (0.8750, 0.4776, 0.1026)  4 O 1.55-1.59
O (0.5410, 0.8695, 0.2002)  1 P 1.55
O (0.1305, 0.3307, 0.6715)  1 P 1.55
O (0.6693, 0.3408, 0.7998)  1 P 1.55
O (0.4439, 0.7231, 0.2886)  1 P 1.59
V (0.3750, 0.3700, 0.4950)  6 O 2.12-2.18
Li (0.2500, 0.7500, 0.5000)  4 O 2.26
V (0.6300, 0.1250, 0.0050)  6 O 2.12-2.18
V (0.9771, 0.4771, 0.5000)  6 O 2.18-2.29
O (0.0908, 0.9193, 0.2998)  1 P 1.55
O (0.2311, 0.0895, 0.2358)  1 P 1.56
O (0.8447, 0.5561, 0.2792)  1 P 1.59
V (0.8750, 0.8800, 0.5050)  6 O 2.12-2.18
O (0.3155, 0.5269, 0.2208)  1 P 1.59
O (0.3061, 0.0947, 0.7792)  1 P 1.59
V (0.1200, 0.6250, 0.9950)  6 O 2.12-2.18
Li (0.5000, 0.5000, 0.0000)  4 O 2.26
O (0.4345, 0.1553, 0.7114)  1 P 1.59
O (0.8395, 0.4811, 0.7358)  1 P 1.56
O (0.5189, 0.2547, 0.3584)  1 P 1.56
P (0.2276, 0.1250, 0.6026)  4 O 1.55-1.59
V (0.5229, 0.0229, 0.5000)  6 O 2.18-2.29
O (0.7453, 0.1037, 0.2642)  1 P 1.56
P (0.5224, 0.6250, 0.3974)  4 O 1.55-1.59
O (0.6195, 0.7910, 0.7002)  1 P 1.55
O (0.9053, 0.6845, 0.2114)  1 P 1.59


Record 3
Below is a relaxed Ti3Fe9O16 crystal, with properties calculated at the PBE+U level.

Output
The total energy is -414.47 eV per cell. The formation energy comes out at -2.123 eV per atom. The offset from the most stable computed form is 0.039 eV/atom. The volume is 621.77 Å³ per cell.

abc: 6.0459 12.0813 15.9436
angles: 40.93 55.37 59.76
With the nearest neighbours (Å) after each atom.
Fractional coordinates of all 56 atoms:
O (0.7339, 0.3174, 0.1304)  1 Ti 1.94, 3 Fe 1.95-2.16
Fe (0.8788, 0.7209, 0.4357)  4 O 1.94-1.99
Fe (0.4990, 0.4969, 0.5025)  6 O 2.05-2.16
Fe (0.5000, 0.1250, 0.2500)  6 O 2.07-2.14
O (0.2547, 0.8056, 0.6377)  2 Fe 1.97-2.16, 2 Ti 2.01-2.11
O (0.7561, 0.2068, 0.8667)  3 Fe 1.96-2.11, 1 Ti 2.01
O (0.2712, 0.0501, 0.1308)  1 Ti 1.94, 3 Fe 1.94-2.16
Fe (0.8781, 0.2227, 0.4354)  4 O 1.94-1.95
Fe (0.8777, 0.9721, 0.9383)  4 O 1.94-1.98
O (0.2439, 0.0432, 0.6333)  3 Fe 1.96-2.11, 1 Ti 2.01
Fe (0.1212, 0.5291, 0.0643)  4 O 1.94-1.99
Fe (0.1219, 0.0273, 0.0646)  4 O 1.94-1.95
Fe (0.5010, 0.7531, 0.9975)  6 O 2.05-2.16
O (0.7667, 0.9311, 0.8705)  1 Ti 1.94, 3 Fe 1.96-2.17
Ti (0.9839, 0.8799, 0.7527)  6 O 1.94-2.11
O (0.7214, 0.5554, 0.1332)  3 Fe 1.97-2.10, 1 Ti 2.02
O (0.2661, 0.9326, 0.3696)  1 Ti 1.94, 3 Fe 1.95-2.16
Fe (0.1223, 0.2779, 0.5617)  4 O 1.94-1.98
O (0.2404, 0.7953, 0.1339)  3 Fe 1.95-2.11, 1 Ti 1.99
O (0.7278, 0.0517, 0.1337)  3 Fe 1.94-2.12, 1 Ti 1.98
O (0.2472, 0.5589, 0.1366)  2 Fe 1.99-2.16, 2 Ti 2.01-2.10
O (0.7633, 0.7019, 0.8661)  3 Fe 1.95-2.12, 1 Ti 1.99
Ti (0.0161, 0.3701, 0.7473)  6 O 1.94-2.11
Fe (0.5000, 0.1250, 0.7500)  6 O 2.07-2.17
O (0.2485, 0.4463, 0.3612)  2 Fe 1.98-2.14, 2 Ti 2.01-2.11
O (0.7232, 0.8035, 0.6350)  3 Fe 1.95-2.12, 1 Ti 1.99
Fe (0.4977, 0.8777, 0.7511)  6 O 2.05-2.16
O (0.2543, 0.2991, 0.1300)  4 Fe 1.94-2.07
Fe (0.5000, 0.6250, 0.2500)  6 O 2.09-2.14
Fe (0.5077, 0.0003, 0.4973)  6 O 2.05-2.16
O (0.7288, 0.1999, 0.3692)  1 Ti 1.94, 3 Fe 1.94-2.16
O (0.2367, 0.5481, 0.6339)  3 Fe 1.95-2.12, 1 Ti 1.99
Ti (0.4864, 0.8831, 0.2509)  6 O 1.94-2.11
Ti (0.5000, 0.6250, 0.7500)  6 O 1.99-2.01
Fe (0.4923, 0.2497, 0.0027)  6 O 2.05-2.16
O (0.7457, 0.9509, 0.3700)  4 Fe 1.94-2.07
O (0.2768, 0.4465, 0.8650)  3 Fe 1.95-2.12, 1 Ti 1.99
O (0.7677, 0.0482, 0.6325)  3 Fe 1.95-2.16, 1 Ti 1.95
O (0.2542, 0.6919, 0.8628)  2 Fe 1.99-2.16, 2 Ti 2.01-2.10
O (0.2323, 0.2018, 0.8675)  3 Fe 1.95-2.16, 1 Ti 1.95
Fe (0.0000, 0.1250, 0.2500)  6 O 2.07-2.16
Fe (0.5023, 0.3723, 0.7489)  6 O 2.05-2.16
Ti (0.5136, 0.3669, 0.2491)  6 O 1.94-2.11
O (0.7458, 0.5581, 0.6372)  2 Fe 1.99-2.16, 2 Ti 2.01-2.10
Fe (0.1192, 0.7790, 0.5673)  4 O 1.95-1.97
O (0.7515, 0.8037, 0.1388)  2 Fe 1.98-2.14, 2 Ti 2.01-2.11
O (0.7528, 0.6911, 0.3634)  2 Fe 1.99-2.16, 2 Ti 2.01-2.10
O (0.2786, 0.6946, 0.3668)  3 Fe 1.97-2.10, 1 Ti 2.02
Ti (0.0000, 0.6250, 0.2500)  6 O 1.99-2.01
O (0.2722, 0.1983, 0.3663)  3 Fe 1.94-2.12, 1 Ti 1.98
O (0.7596, 0.4547, 0.3661)  3 Fe 1.95-2.11, 1 Ti 1.99
Fe (0.8808, 0.4710, 0.9327)  4 O 1.95-1.97
O (0.7290, 0.3124, 0.6283)  4 Fe 1.94-2.07
O (0.2710, 0.9376, 0.8717)  4 Fe 1.94-2.07
O (0.2333, 0.3189, 0.6295)  1 Ti 1.94, 3 Fe 1.96-2.17
O (0.7453, 0.4444, 0.8623)  2 Fe 1.97-2.16, 2 Ti 2.01-2.11


Record 4
Below is a relaxed LiMnO2 crystal, with properties calculated at the PBE+U level.

Output
The total energy is -53.01 eV per cell. The formation energy comes out at -2.145 eV per atom. The volume is 77.54 Å³ per cell.

abc: 2.8688 4.6345 5.8325
angles: 90.00 90.00 90.00
With the nearest neighbours (Å) after each atom.
Fractional coordinates of all 8 atoms:
O (0.7500, 0.2500, 0.8608)  2 Mn 1.94, 2 Li 2.08
Mn (0.7500, 0.7500, 0.3633)  4 O 1.94-1.99
Li (0.7500, 0.7500, 0.8798)  6 O 2.08-2.32
O (0.2500, 0.7500, 0.1392)  2 Mn 1.94, 2 Li 2.08
O (0.2500, 0.7500, 0.5985)  2 Mn 1.99, 2 Li 2.18
Li (0.2500, 0.2500, 0.1202)  6 O 2.08-2.32
Mn (0.2500, 0.2500, 0.6367)  4 O 1.94-1.99
O (0.7500, 0.2500, 0.4015)  2 Mn 1.99, 2 Li 2.18


Record 5
Below is a relaxed LaMnFe3Bi3O12 crystal, with properties calculated at the PBE+U level.

Output
The total energy is -132.71 eV per cell. The formation energy comes out at -1.942 eV per atom. The volume is 251.23 Å³ per cell.

abc: 5.6714 5.6714 9.7952
angles: 71.93 71.93 58.56
With the nearest neighbours (Å) after each atom.
Fractional coordinates of all 20 atoms:
O (0.9331, 0.9331, 0.3302)  1 Fe 2.02, 1 Mn 2.23
Bi (0.6441, 0.6441, 0.6111)  5 O 2.38-2.46
O (0.8947, 0.4125, 0.4032)  1 Mn 1.98, 1 Fe 2.05
Fe (0.4978, 0.4978, 0.9987)  6 O 2.01-2.06
O (0.4054, 0.9027, 0.9054)  2 Fe 2.03
O (0.4125, 0.8947, 0.4032)  1 Mn 1.98, 1 Fe 2.05
Fe (0.2500, 0.2500, 0.7497)  6 O 2.01-2.12
O (0.0787, 0.0787, 0.6710)  2 Fe 2.06-2.10
La (0.3730, 0.3730, 0.3789)  3 O 2.26-2.52
O (0.4225, 0.4225, 0.8297)  2 Fe 2.04-2.12
Fe (0.0028, 0.0028, 0.5005)  6 O 2.02-2.06
O (0.5915, 0.0898, 0.0998)  1 Mn 1.98, 1 Fe 2.06
O (0.9027, 0.4054, 0.9054)  2 Fe 2.03
Bi (0.8586, 0.8586, 0.8839)  5 O 2.40-2.48
O (0.5667, 0.5667, 0.1689)  1 Fe 2.01, 1 Mn 2.21
O (0.0898, 0.5915, 0.0998)  1 Mn 1.98, 1 Fe 2.06
Mn (0.7493, 0.7493, 0.2495)  5 O 1.98-2.21
O (0.5989, 0.0901, 0.6001)  2 Fe 2.01-2.04
Bi (0.1378, 0.1378, 0.1110)  5 O 2.37-2.41
O (0.0901, 0.5989, 0.6001)  2 Fe 2.01-2.04


Record 6
Below is a relaxed V4OF11 crystal, with properties calculated at the PBE+U level.

Output
The total energy is -99.85 eV per cell. The formation energy comes out at -3.130 eV per atom. The offset from the most stable computed form is 0.001 eV/atom. The volume is 217.13 Å³ per cell.

abc: 5.2422 5.4539 9.1163
angles: 73.32 89.58 61.64
With the nearest neighbours (Å) after each atom.
Fractional coordinates of all 16 atoms:
V (0.9940, 0.9803, 0.0145)  1 O 1.68
F (0.5783, 0.2524, 0.9263)  2 V 1.97-1.98
F (0.4254, 0.7482, 0.6758)  2 V 1.97
F (0.9271, 0.7472, 0.5746)  2 V 1.98
V (0.7542, 0.5076, 0.2474)  1 O 1.95, 5 F 1.97-2.00
F (0.9809, 0.2455, 0.1250)  2 V 1.96-2.00
F (0.4756, 0.2494, 0.6252)  2 V 1.97-1.98
V (0.5013, 0.0018, 0.4994)  6 F 1.97-1.98
F (0.0209, 0.7592, 0.8716)  2 V 1.98
O (0.9212, 0.7598, 0.1583)  1 V 1.68
V (0.2484, 0.4965, 0.7524)  6 F 1.97-1.98
F (0.5246, 0.7517, 0.3753)  2 V 1.97-1.98
F (0.5774, 0.2553, 0.3223)  2 V 1.97-1.98
F (0.0740, 0.2521, 0.4252)  2 V 1.98
F (0.4216, 0.7524, 0.0730)  2 V 1.96-1.99
F (0.0750, 0.2406, 0.8337)  2 V 1.98-2.03